Entry 1:
The following is a DFT calculation (PBE+U) of a relaxed structure of LiCo3O6.

CIF file:
```
data_LiCo3O6
_space_group_name_H-M_alt 'C 1 c 1'
_space_group_IT_number 9
_space_group_name_Hall 'C -2yc'
_cell_length_a 8.4829
_cell_length_b 4.8954
_cell_length_c 10.4208
_cell_angle_alpha 90.00
_cell_angle_beta 105.94
_cell_angle_gamma 90.00
loop_
_atom_site_label
_atom_site_type_symbol
_atom_site_fract_x
_atom_site_fract_y
_atom_site_fract_z
Li1 Li 0.0000 0.0851 0.0000
Co1 Co 0.0830 0.4195 0.2493
Co2 Co 0.2510 0.0847 0.7493
Co3 Co 0.4114 0.4152 0.2406
O1 O 0.0524 0.2463 0.6503
O2 O 0.1096 0.0792 0.3414
O3 O 0.2097 0.2437 0.1494
O4 O 0.2855 0.4202 0.8443
O5 O 0.3862 0.2472 0.6502
O6 O 0.4483 0.0914 0.3441
```

Excess energy over the best structure of this formula in the dataset = 0.0067 eV per atom
ΔE_f = -13.68 eV per formula unit

Entry 2:
The following is a DFT calculation (PBE+U) of a relaxed structure of MoO3.

CIF file:
```
data_MoO3
_space_group_name_H-M_alt 'P 1 21/c 1'
_space_group_IT_number 14
_space_group_name_Hall '-P 2ybc'
_cell_length_a 7.4368
_cell_length_b 7.7958
_cell_length_c 10.9064
_cell_angle_alpha 90.00
_cell_angle_beta 132.75
_cell_angle_gamma 90.00
loop_
_atom_site_label
_atom_site_type_symbol
_atom_site_fract_x
_atom_site_fract_y
_atom_site_fract_z
Mo1 Mo 0.0348 0.0330 0.2854
Mo2 Mo 0.4652 0.5353 0.7159
O1 O 0.0113 0.7414 0.7331
O2 O 0.2277 0.0279 0.7286
O3 O 0.2285 0.0276 0.2276
O4 O 0.2722 0.5244 0.4978
O5 O 0.2766 0.0056 0.5021
O6 O 0.4710 0.7411 0.2510
```

ΔE_f = -7.70 eV per formula unit

What did the second record say?
The following is a DFT calculation (PBE+U) of a relaxed structure of MoO3.

CIF file:
```
data_MoO3
_space_group_name_H-M_alt 'P 1 21/c 1'
_space_group_IT_number 14
_space_group_name_Hall '-P 2ybc'
_cell_length_a 7.4368
_cell_length_b 7.7958
_cell_length_c 10.9064
_cell_angle_alpha 90.00
_cell_angle_beta 132.75
_cell_angle_gamma 90.00
loop_
_atom_site_label
_atom_site_type_symbol
_atom_site_fract_x
_atom_site_fract_y
_atom_site_fract_z
Mo1 Mo 0.0348 0.0330 0.2854
Mo2 Mo 0.4652 0.5353 0.7159
O1 O 0.0113 0.7414 0.7331
O2 O 0.2277 0.0279 0.7286
O3 O 0.2285 0.0276 0.2276
O4 O 0.2722 0.5244 0.4978
O5 O 0.2766 0.0056 0.5021
O6 O 0.4710 0.7411 0.2510
```

ΔE_f = -7.70 eV per formula unit

The lowest ΔE_f belongs to which entry? LiCo3O6

Among the records above, which one has the lowest ΔE_f? LiCo3O6